1.
Entry from Materials Project: a geometry-optimized NbCo2 structure (GGA-PBE).

Structure (POSCAR):
```
NbCo2
1.0
0.000 3.371 3.371
3.371 0.000 3.371
3.371 3.371 0.000
Nb Co
2 4
direct
0.750 0.750 0.750
0.500 0.500 0.500
0.125 0.625 0.125
0.125 0.125 0.625
0.625 0.125 0.125
0.125 0.125 0.125
```

Values from the calculation:
Volume = 12.8 Å³ per atom
ΔH_f (0 K) = -0.144 eV per atom

2.
Entry from Materials Project: a geometry-optimized NbCoP structure (GGA-PBE).

Structure (POSCAR):
```
NbCoP
1.0
-1.478 -1.372 2.988
-4.666 -2.212 -3.324
3.513 -5.930 -0.986
Nb Co P
4 4 4
direct
0.250 0.026 0.827
0.250 0.526 0.673
0.750 0.974 0.173
0.750 0.474 0.327
0.250 0.147 0.438
0.250 0.647 0.062
0.750 0.853 0.562
0.750 0.353 0.938
0.250 0.779 0.380
0.250 0.279 0.120
0.750 0.221 0.620
0.750 0.721 0.880
```

Values from the calculation:
Volume = 12.8 Å³ per atom
ΔH_f (0 K) = -0.883 eV per atom

3.
Entry from Materials Project: a geometry-optimized Nb2Co12P7 structure (GGA-PBE).

Structure (POSCAR):
```
Nb2Co12P7
1.0
-5.247 7.076 0.764
0.806 -5.655 6.749
2.714 1.877 1.249
Nb Co P
2 12 7
direct
0.667 0.333 0.500
0.333 0.667 0.000
0.117 0.835 0.000
0.390 0.440 0.500
0.718 0.883 0.000
0.560 0.950 0.500
0.212 0.087 0.500
0.875 0.788 0.500
0.913 0.125 0.500
0.935 0.375 0.000
0.625 0.560 0.000
0.440 0.065 0.000
0.050 0.610 0.500
0.165 0.282 0.000
0.000 0.000 0.000
0.593 0.713 0.500
0.709 0.121 0.000
0.879 0.588 0.000
0.412 0.291 0.000
0.287 0.880 0.500
0.120 0.407 0.500
```

Values from the calculation:
Volume = 11.4 Å³ per atom
ΔH_f (0 K) = -0.648 eV per atom

4.
Entry from Materials Project: a geometry-optimized Nb4CoPt3 structure (GGA-PBE).

Structure (POSCAR):
```
Nb4CoPt3
1.0
-0.385 1.663 -2.248
-4.350 -1.508 -0.371
-3.061 7.362 5.970
Nb Co Pt
4 1 3
direct
0.000 0.500 0.400
0.000 0.500 0.919
0.000 0.000 0.097
0.000 0.000 0.589
0.500 0.500 0.159
0.500 0.500 0.662
0.500 0.000 0.335
0.500 0.000 0.839
```

Values from the calculation:
Size of the total moment = 0.016 μB per cell
Volume = 16.2 Å³ per atom
ΔH_f (0 K) = -0.446 eV per atom

5.
Entry from Materials Project: a geometry-optimized Nb2CoS4 structure (GGA-PBE).

Structure (POSCAR):
```
Nb2CoS4
1.0
1.646 -2.851 0.000
1.646 2.851 0.000
0.000 0.000 13.342
Nb Co S
2 1 4
direct
0.333 0.667 0.273
0.667 0.333 0.727
0.000 0.000 0.000
0.333 0.667 0.091
0.667 0.333 0.909
0.333 0.667 0.612
0.667 0.333 0.388
```

Values from the calculation:
Size of the total moment = 0.010 μB per cell
Volume = 17.9 Å³ per atom
ΔH_f (0 K) = -0.822 eV per atom
Polymorph energy (0 for the lowest one) = 0.139 eV per atom

6.
Entry from Materials Project: a geometry-optimized Nb2CoS4 structure (GGA-PBE).

Structure (POSCAR):
```
Nb2CoS4
1.0
-0.708 2.390 2.209
9.426 3.138 -0.375
-3.169 8.322 -10.020
Nb Co S
8 4 16
direct
0.750 0.858 0.597
0.250 0.142 0.403
0.250 0.642 0.097
0.750 0.358 0.903
0.750 0.517 0.408
0.250 0.483 0.592
0.250 0.983 0.908
0.750 0.017 0.092
0.750 0.750 0.818
0.250 0.250 0.182
0.250 0.750 0.318
0.750 0.250 0.682
0.750 0.623 0.679
0.250 0.377 0.321
0.250 0.877 0.179
0.750 0.123 0.821
0.750 0.636 0.247
0.250 0.364 0.753
0.250 0.864 0.747
0.750 0.136 0.253
0.750 0.948 0.415
0.250 0.052 0.585
0.250 0.552 0.915
0.750 0.448 0.085
0.750 0.801 0.987
0.250 0.199 0.013
0.250 0.699 0.487
0.750 0.301 0.513
```

Values from the calculation:
Size of the total moment = 4.429 μB per cell
Volume = 15.9 Å³ per atom
ΔH_f (0 K) = -0.904 eV per atom
Polymorph energy (0 for the lowest one) = 0.057 eV per atom

7.
Entry from Materials Project: a geometry-optimized Nb3CoS6 structure (GGA-PBE).

Structure (POSCAR):
```
Nb3CoS6
1.0
2.908 -5.037 0.000
2.908 5.037 0.000
0.000 0.000 11.812
Nb Co S
6 2 12
direct
0.333 0.667 0.997
0.667 0.333 0.497
0.333 0.667 0.503
0.000 0.000 0.000
0.667 0.333 0.003
0.000 0.000 0.500
0.667 0.333 0.750
0.333 0.667 0.250
0.003 0.668 0.133
0.668 0.665 0.633
0.003 0.335 0.367
0.332 0.335 0.133
0.335 0.003 0.633
0.335 0.332 0.867
0.665 0.668 0.367
0.997 0.665 0.867
0.668 0.003 0.867
0.332 0.997 0.367
0.665 0.997 0.133
0.997 0.332 0.633
```

Values from the calculation:
Volume = 17.3 Å³ per atom
ΔH_f (0 K) = -1.293 eV per atom

8.
Entry from Materials Project: a geometry-optimized Nb2CoS4 structure (GGA-PBE).

Structure (POSCAR):
```
Nb2CoS4
1.0
-0.004 2.173 2.550
5.956 -7.684 6.556
11.191 5.031 -4.271
Nb Co S
8 4 16
direct
0.750 0.434 0.926
0.750 0.934 0.574
0.250 0.566 0.074
0.250 0.066 0.426
0.750 0.458 0.401
0.750 0.958 0.099
0.250 0.542 0.599
0.250 0.042 0.901
0.750 0.333 0.236
0.750 0.833 0.264
0.250 0.667 0.764
0.250 0.167 0.736
0.750 0.142 0.549
0.750 0.642 0.951
0.250 0.858 0.451
0.250 0.358 0.049
0.750 0.209 0.845
0.750 0.709 0.655
0.250 0.791 0.155
0.250 0.291 0.345
0.750 0.392 0.578
0.750 0.892 0.922
0.250 0.608 0.422
0.250 0.108 0.078
0.750 0.525 0.214
0.750 0.025 0.286
0.250 0.475 0.786
0.250 0.975 0.714
```

Values from the calculation:
Size of the total moment = 8.005 μB per cell
Volume = 18.2 Å³ per atom
ΔH_f (0 K) = -0.961 eV per atom
Polymorph energy (0 for the lowest one) = 0.000 eV per atom